Model P:
Entry from the Materials Project: a relaxed Ba2MgBi2O6 crystal (GGA-PBE).

extended XYZ file:
```
11
Lattice="5.337 -0.097 3.146 1.687 5.064 3.146 -0.664 -0.470 7.467" Properties=species:S:1:pos:R:3 pbc="T T T"
Ba 1.812 1.282 3.230
Ba 4.301 3.041 11.568
Mg 6.169 4.362 8.164
Bi -0.127 -0.090 6.724
Bi 3.205 2.267 6.881
O 1.579 3.073 8.948
O 2.615 3.798 5.347
O 3.424 0.464 8.948
O 1.376 0.973 5.730
O 4.453 1.199 5.347
O 5.039 3.563 6.875
```

---

Model Q:
Entry from the Materials Project: a relaxed Ba2MgBi2O6 crystal (GGA-PBE).

extended XYZ file:
```
11
Lattice="0.182 -6.074 -0.073 4.405 -2.871 -3.122 5.401 -2.930 4.272" Properties=species:S:1:pos:R:3 pbc="T T T"
Ba 7.089 -8.921 0.969
Ba 1.471 -2.988 -0.657
Mg 3.423 -2.967 2.444
Bi 5.345 -8.934 -2.297
Bi 4.896 -5.943 0.748
O 4.931 -7.501 2.278
O 6.229 -7.316 -1.273
O 6.143 -4.446 -1.238
O 4.839 -4.423 2.315
O 2.302 -6.003 -0.755
O 7.072 -5.883 1.120
```

---

Most stable = model Q

---

Model P:
Entry from the Materials Project: a relaxed Ba2TbMgBiO6 crystal (GGA-PBE).

extended XYZ file:
```
11
Lattice="5.511 0.000 3.178 1.676 6.022 3.460 0.032 0.357 6.312" Properties=species:S:1:pos:R:3 pbc="T T T"
Ba 4.650 2.706 4.670
Ba 2.842 4.470 7.805
Tb 0.961 2.465 4.701
Mg 6.492 5.333 7.843
Bi 2.816 0.605 7.850
O 4.351 2.103 8.414
O 5.627 4.206 6.509
O 1.559 2.103 6.805
O 5.534 5.396 9.504
O 1.652 0.874 3.502
O 2.569 4.206 4.746
```

---

Model Q:
Entry from the Materials Project: a relaxed Ba2TbMgBiO6 crystal (GGA-PBE).

extended XYZ file:
```
11
Lattice="5.445 0.000 3.140 1.662 5.208 3.409 -0.224 0.188 6.680" Properties=species:S:1:pos:R:3 pbc="T T T"
Ba 4.672 1.178 4.481
Ba 2.212 4.218 8.748
Tb 0.719 2.698 5.045
Mg 3.442 2.698 6.615
Bi 2.723 0.000 1.570
O 4.059 1.939 8.418
O 5.312 3.457 6.246
O 1.572 1.939 6.984
O 5.369 4.588 9.564
O 1.514 0.808 3.665
O 2.824 3.457 4.812
```

---

Most stable = model P

---

Model P:
Entry from the Materials Project: a relaxed BaNaNbBiO6 crystal (GGA-PBE).

extended XYZ file:
```
10
Lattice="0.000 -4.243 -4.243 4.243 0.000 -4.243 4.243 -4.243 0.000" Properties=species:S:1:pos:R:3 pbc="T T T"
Ba 2.121 -2.121 -2.121
Na 6.364 -6.364 -6.364
Nb 4.243 -4.243 -4.243
Bi 0.000 0.000 0.000
O 2.233 -4.243 -4.243
O 6.252 -4.243 -4.243
O 4.243 -6.252 -4.243
O 4.243 -2.233 -4.243
O 4.243 -4.243 -6.252
O 4.243 -4.243 -2.233
```

---

Model Q:
Entry from the Materials Project: a relaxed BaNaNbBiO6 crystal (GGA-PBE).

extended XYZ file:
```
40
Lattice="-7.018 -4.656 -0.624 4.480 -6.307 -3.324 1.373 -3.108 7.748" Properties=species:S:1:pos:R:3 pbc="T T T"
Ba 0.000 0.000 0.000
Ba -0.583 -7.035 1.900
Ba 2.927 -4.707 2.212
Ba -3.509 -2.328 -0.312
Na -2.823 -3.882 3.562
Na -1.269 -5.482 -1.974
Na 2.240 -3.153 -1.662
Na 0.687 -1.554 3.874
Nb -0.291 -3.518 0.950
Nb -1.560 -8.999 -1.024
Nb -3.114 -7.400 4.512
Nb 2.635 -8.225 3.162
Bi -0.874 -10.553 2.850
Bi 0.395 -5.072 4.824
Bi 1.949 -6.671 -0.712
Bi -3.800 -5.846 0.638
O 1.308 -2.361 1.309
O -3.107 -10.276 -1.083
O -4.881 -8.321 4.277
O 4.349 -7.183 3.098
O -1.488 -2.027 1.556
O 3.619 -9.856 2.538
O -0.425 -10.352 -1.972
O -4.037 -5.906 5.479
O -0.428 -2.758 -0.903
O -2.881 -8.294 6.294
O 3.052 -8.799 5.040
O -2.072 -8.291 -2.831
O -1.891 -4.674 0.591
O -0.014 -7.722 -0.965
O -1.347 -6.478 4.747
O 0.922 -9.267 3.227
O 0.905 -5.008 0.344
O 1.651 -6.594 3.787
O -2.696 -7.646 -0.076
O -2.190 -8.894 3.545
O -0.154 -4.277 2.803
O -3.346 -6.506 2.730
O 2.219 -7.651 1.284
O -1.049 -9.708 0.783
```

---

Most stable = model Q

---

Model P:
Entry from the Materials Project: a relaxed BaNaPrBiO6 crystal (GGA-PBE).

extended XYZ file:
```
40
Lattice="-8.427 -1.713 1.806 -1.730 -0.501 -8.548 1.778 -8.594 0.144" Properties=species:S:1:pos:R:3 pbc="T T T"
Ba 0.000 0.000 0.000
Ba -4.190 -5.404 -3.299
Ba -5.079 -1.107 -3.371
Ba 0.889 -4.297 0.072
Na 0.024 -4.547 -4.202
Na -3.325 -5.153 0.975
Na -4.214 -0.856 0.903
Na -0.865 -0.251 -4.274
Pr -2.095 -2.702 -1.649
Pr -7.173 -3.809 -5.020
Pr -5.420 -7.855 -0.674
Pr -2.071 -7.249 -5.851
Bi -6.285 -8.106 -4.948
Bi -1.206 -6.999 -1.577
Bi -2.960 -2.952 -5.923
Bi -6.308 -3.558 -0.746
O -8.205 -4.094 0.078
O -1.001 -2.718 -6.743
O 0.849 -6.418 -1.618
O -8.402 -8.387 -4.913
O -3.711 -2.578 -7.896
O -0.919 -7.468 0.494
O -5.781 -2.854 1.208
O -6.348 -8.716 -7.002
O -0.627 -9.004 -2.082
O -7.083 -1.610 -1.209
O -3.024 -0.843 -5.529
O -6.024 -10.159 -4.376
O -4.412 -3.023 -1.571
O -4.918 -3.187 -5.104
O -3.261 -7.580 -1.537
O -4.167 -7.825 -4.984
O -2.209 -3.327 -3.951
O -1.493 -6.530 -3.649
O -6.836 -4.263 -2.701
O -6.221 -7.495 -2.894
O -1.785 -4.994 -1.073
O -5.533 -5.507 -0.284
O -2.895 -5.062 -6.318
O -6.545 -6.053 -5.521
```

---

Model Q:
Entry from the Materials Project: a relaxed BaNaPrBiO6 crystal (GGA-PBE).

extended XYZ file:
```
10
Lattice="0.000 -4.446 -4.446 4.446 0.000 -4.446 4.446 -4.446 0.000" Properties=species:S:1:pos:R:3 pbc="T T T"
Ba 2.223 -2.223 -2.223
Na 6.669 -6.669 -6.669
Pr 4.446 -4.446 -4.446
Bi 0.000 0.000 0.000
O 2.118 -4.446 -4.446
O 6.774 -4.446 -4.446
O 4.446 -6.774 -4.446
O 4.446 -2.118 -4.446
O 4.446 -4.446 -6.774
O 4.446 -4.446 -2.118
```

---

Most stable = model P

---

Model P:
Entry from the Materials Project: a relaxed Ba2Na7Ti16Bi7O48 crystal (GGA-PBE).

extended XYZ file:
```
80
Lattice="-5.036 0.591 -2.504 -1.912 -3.832 -3.693 -34.418 -27.115 10.441" Properties=species:S:1:pos:R:3 pbc="T T T"
Ba -34.334 -25.342 4.067
Ba -38.705 -28.800 5.446
Na -3.163 -1.891 -1.245
Na -7.437 -5.233 -0.050
Na -11.732 -8.620 1.247
Na -16.033 -12.008 2.548
Na -20.335 -15.396 3.850
Na -24.621 -18.758 5.130
Na -28.859 -22.093 6.360
Ti -7.170 -3.409 -6.079
Ti -4.565 -3.529 1.225
Ti -5.836 -3.453 -2.513
Ti -8.829 -6.910 2.515
Ti -10.091 -6.807 -1.183
Ti -13.129 -10.297 3.809
Ti -14.389 -10.181 0.089
Ti -17.429 -13.679 5.109
Ti -18.688 -13.566 1.388
Ti -21.732 -17.064 6.400
Ti -22.988 -16.955 2.689
Ti -25.994 -20.467 7.618
Ti -27.278 -20.311 3.955
Ti -30.181 -23.714 8.963
Ti -31.569 -23.699 5.258
Ti -35.979 -27.172 6.639
Bi -8.949 -5.249 -3.838
Bi -13.187 -8.631 -2.559
Bi -17.487 -12.014 -1.268
Bi -21.790 -15.401 0.035
Bi -26.078 -18.774 1.315
Bi -30.422 -22.179 2.637
Bi -33.386 -25.683 7.793
O -4.843 -3.666 -0.584
O -3.828 -3.526 -3.092
O -5.465 -1.422 -2.307
O -5.751 -5.362 -2.596
O -7.432 -3.226 -1.525
O -9.082 -7.029 0.687
O -6.464 -3.208 -4.238
O -8.145 -6.727 -1.953
O -9.793 -4.738 -0.816
O -10.002 -8.695 -1.333
O -11.709 -6.620 -0.218
O -13.376 -10.410 1.982
O -10.702 -6.363 -2.911
O -12.415 -10.102 -0.679
O -14.086 -8.114 0.462
O -14.293 -12.073 -0.039
O -16.001 -10.000 1.068
O -17.677 -13.798 3.285
O -14.994 -9.754 -1.633
O -16.713 -13.490 0.623
O -18.386 -11.501 1.761
O -18.594 -15.460 1.263
O -20.301 -13.388 2.369
O -21.973 -17.176 4.571
O -19.289 -13.141 -0.335
O -21.013 -16.876 1.924
O -22.688 -14.884 3.064
O -22.899 -18.842 2.555
O -24.603 -16.771 3.666
O -26.268 -20.492 5.802
O -23.590 -16.525 0.965
O -25.328 -20.250 3.184
O -27.002 -18.258 4.335
O -27.213 -22.222 3.884
O -28.888 -20.121 4.934
O -30.739 -23.742 7.223
O -27.901 -19.910 2.237
O -29.609 -23.823 4.525
O -31.133 -21.707 5.380
O -31.678 -25.592 5.220
O -33.278 -23.515 6.068
O -34.954 -27.097 8.561
O -32.194 -23.377 3.492
O -33.818 -27.156 6.102
O -35.345 -25.064 6.825
O -35.996 -29.026 6.533
O -37.614 -26.936 7.424
O -36.496 -26.829 4.883
```

---

Model Q:
Entry from the Materials Project: a relaxed Ba2Na7Ti16Bi7O48 crystal (GGA-PBE).

extended XYZ file:
```
80
Lattice="5.543 0.000 0.000 -2.771 4.929 0.000 0.000 -2.963 36.342" Properties=species:S:1:pos:R:3 pbc="T T T"
Ba -0.868 1.947 30.645
Ba 2.614 -0.896 35.308
Na 0.218 3.258 1.388
Na 3.663 0.489 5.812
Na -1.193 2.584 10.345
Na 2.271 -0.248 14.883
Na 2.964 1.848 19.423
Na 0.886 -0.980 23.926
Na 1.553 1.127 28.358
Ti 0.057 0.065 0.268
Ti 0.731 2.342 4.667
Ti 3.129 1.253 2.382
Ti 4.173 -0.505 9.177
Ti -1.717 3.292 6.904
Ti -0.680 1.597 13.709
Ti 1.745 0.479 11.413
Ti 2.786 -1.237 18.244
Ti 2.437 2.576 15.948
Ti 3.478 0.869 22.774
Ti 0.356 -0.257 20.487
Ti 1.335 -1.914 27.241
Ti 1.053 1.856 24.978
Ti 2.072 0.052 31.692
Ti 4.511 -0.984 29.513
Ti -0.307 1.126 34.202
Bi -2.185 4.529 3.641
Bi 1.237 1.677 8.132
Bi 1.928 3.780 12.660
Bi -0.150 0.947 17.201
Bi 0.538 3.051 21.710
Bi 4.023 0.230 26.292
Bi -0.487 -1.643 33.194
O 0.214 4.035 3.504
O 1.623 0.569 1.120
O 4.427 0.474 1.349
O 1.673 1.639 3.247
O 4.622 1.327 3.694
O 3.645 1.187 7.980
O 3.135 3.010 1.239
O 2.407 2.773 5.450
O -0.292 2.415 6.006
O 2.361 3.726 7.708
O -0.247 3.405 8.229
O -1.207 3.283 12.508
O 1.192 0.074 5.652
O 0.308 -0.058 9.949
O 3.167 -0.405 10.517
O 0.279 0.892 12.232
O 3.212 0.578 12.749
O 2.257 0.449 17.047
O 1.868 2.185 10.172
O 0.998 2.036 14.486
O 3.858 1.692 15.053
O 0.973 2.988 16.771
O -1.640 2.674 17.287
O 2.948 2.553 21.568
O -0.216 -0.649 14.704
O 4.462 -0.797 19.024
O 1.783 -1.142 19.591
O 4.440 0.164 21.301
O 1.826 -0.155 21.820
O 0.893 -0.239 26.015
O 0.478 1.448 19.240
O -0.383 1.339 23.530
O 2.484 0.985 24.106
O -0.388 2.243 25.863
O 2.525 1.952 26.308
O 1.831 1.831 30.647
O 3.941 -1.355 23.760
O 2.947 -1.503 28.184
O 0.168 -1.724 28.410
O 3.202 -0.525 30.489
O 0.441 -0.688 30.763
O -0.267 -1.088 35.159
O -0.988 0.790 28.300
O 3.712 0.299 32.861
O 0.874 0.195 33.002
O -1.667 1.580 35.067
O 1.149 1.390 35.374
O 2.459 -2.104 32.939
```

---

Most stable = model P

---

Model P:
Entry from the Materials Project: a relaxed BaSrNbBiO6 crystal (GGA-PBE).

extended XYZ file:
```
10
Lattice="-4.303 -0.428 -4.335 -5.922 0.296 1.526 -3.311 4.920 -1.523" Properties=species:S:1:pos:R:3 pbc="T T T"
Ba -10.153 3.591 -3.249
Sr -3.384 1.197 -1.083
Nb -6.768 2.394 -2.166
Bi 0.000 0.000 0.000
O -5.623 1.083 -3.174
O -7.914 3.705 -1.158
O -7.162 3.369 -3.882
O -6.375 1.419 -0.450
O -8.375 1.220 -2.465
O -5.162 3.568 -1.867
```

---

Model Q:
Entry from the Materials Project: a relaxed BaSrNbBiO6 crystal (GGA-PBE).

extended XYZ file:
```
40
Lattice="-1.066 -8.537 -0.313 0.153 -0.334 8.602 -8.533 1.059 0.193" Properties=species:S:1:pos:R:3 pbc="T T T"
Ba 0.000 0.000 0.000
Ba -4.723 -3.906 4.241
Ba -4.800 -3.739 -0.060
Ba -0.457 -4.436 4.145
Sr -4.190 0.362 4.397
Sr -0.533 -4.269 -0.156
Sr 0.076 -0.167 4.301
Sr -4.267 0.529 0.096
Nb -2.348 -1.928 2.116
Nb -2.811 -6.417 6.270
Nb -7.175 -5.717 2.054
Nb -6.559 -1.564 6.525
Bi -7.083 -5.912 6.356
Bi -6.613 -1.373 2.222
Bi -2.287 -2.067 6.420
Bi -2.909 -6.272 1.966
O -2.433 0.100 1.800
O -3.375 -8.364 6.599
O -7.104 -7.714 1.580
O -5.981 0.353 6.985
O -2.053 -2.206 0.131
O -6.931 -1.903 8.487
O -2.369 -6.230 8.237
O -7.540 -5.286 0.109
O -0.371 -1.816 2.436
O -9.140 -5.856 2.435
O -8.445 -0.947 6.231
O -0.938 -7.006 5.862
O -2.397 -3.925 2.314
O -2.380 -4.467 6.062
O -7.116 -3.741 2.405
O -7.000 -3.492 6.182
O -2.610 -1.652 4.138
O -6.219 -1.216 4.525
O -3.222 -6.609 4.262
O -6.842 -6.148 4.039
O -4.391 -1.911 1.915
O -5.141 -5.715 1.781
O -4.576 -2.064 6.707
O -4.785 -5.935 6.561
```

---

Most stable = model Q